[1]
VASP calculation (GGA-PBE) on a relaxed Bi2BO5 crystal.

Geometry as extended XYZ:
```
16
Lattice="6.9303 -2.7428 0.0000 6.9303 2.7428 0.0000 0.0000 0.0000 5.5898" Properties=species:S:1:pos:R:3 pbc="T T T"
Bi 4.7407 1.4839 2.7949
Bi 9.1198 1.4839 2.7949
Bi 4.7407 -1.4839 0.0000
Bi 9.1198 -1.4839 0.0000
B 6.9303 1.0708 5.1707
B 6.9303 -1.0708 2.3758
O 5.7187 1.7338 5.0835
O 3.5872 0.0064 4.0833
O 3.5872 -0.0064 1.2883
O 8.1418 1.7338 5.0835
O 6.9303 0.3172 2.4830
O 6.9303 -0.3172 5.2779
O 5.7187 -1.7338 2.2886
O 10.2733 0.0064 4.0833
O 10.2733 -0.0064 1.2883
O 8.1418 -1.7338 2.2886
```

## Properties
* DFT total energy: -102.56 eV per cell
* M_tot: 0.00 μB/atom
* energy of formation from the pure elements: -1939 meV/atom



[2]
VASP calculation (GGA-PBE) on a relaxed BiB2O5 crystal.

Geometry as extended XYZ:
```
32
Lattice="5.7653 -3.4197 0.0000 5.7653 3.4197 0.0000 -2.2807 0.0000 9.9867" Properties=species:S:1:pos:R:3 pbc="T T T"
Bi 2.0684 2.0545 6.9092
Bi 6.0412 2.0545 8.0709
Bi 3.2088 -2.0545 1.9158
Bi 7.1815 -2.0545 3.0775
B 3.8848 1.3274 1.4070
B 4.3485 1.6569 5.0042
B 3.7611 1.6569 9.9758
B 6.5055 1.3274 3.5864
B 2.7445 -1.3274 6.4004
B 5.4888 -1.6569 0.0109
B 4.9015 -1.6569 4.9825
B 5.3651 -1.3274 8.5797
O 0.3006 0.9286 8.3980
O 2.9969 1.6903 4.7215
O 3.5202 2.1046 8.7012
O 4.5894 2.1046 6.2789
O 3.1706 0.2469 1.8940
O 5.1422 1.1650 0.8967
O 1.4409 -0.9286 3.4046
O 2.0303 -0.2469 6.8874
O 5.2481 1.1650 4.0967
O 7.3934 1.6903 0.2718
O 1.8565 -1.6903 9.7149
O 4.0019 -1.1650 5.8901
O 7.2197 0.2469 3.0993
O 7.8090 0.9286 6.5821
O 4.1077 -1.1650 9.0900
O 6.0793 -0.2469 8.0927
O 4.6606 -2.1046 3.7078
O 5.7297 -2.1046 1.2856
O 6.2531 -1.6903 5.2652
O 8.9493 -0.9286 1.5887
```

## Properties
* DFT total energy: -226.17 eV per cell
* M_tot: 0.00 μB/atom
* energy of formation from the pure elements: -2248 meV/atom



[3]
VASP calculation (GGA-PBE) on a relaxed Bi2B8O15 crystal.

Geometry as extended XYZ:
```
50
Lattice="4.3703 0.0000 0.0000 1.6568 6.3353 0.0000 1.5458 0.6067 22.9329" Properties=species:S:1:pos:R:3 pbc="T T T"
Bi 0.6708 0.7332 1.5279
Bi 3.1425 2.7149 12.9817
Bi 4.4304 4.2271 9.9512
Bi 6.9021 6.2088 21.4050
B 1.1061 0.3912 13.0487
B 2.6588 2.5427 21.3252
B 2.5062 2.5468 18.7826
B 3.1924 4.7251 17.7403
B 2.2384 0.6103 17.2032
B 2.6383 1.5851 9.8082
B 2.7171 3.0302 1.5474
B 4.2736 5.1609 15.6317
B 3.2993 1.7811 7.3012
B 4.8558 3.9118 21.3855
B 4.9346 5.3569 13.1246
B 5.3345 6.3317 5.7296
B 4.3805 2.2169 5.1926
B 5.0667 4.3952 4.1503
B 4.9141 4.3992 1.6077
B 6.4668 6.5507 9.8842
O 1.2035 1.3447 9.8748
O 1.3241 3.1459 1.4517
O 3.1499 6.0904 18.0031
O 2.2605 1.4982 22.2857
O 2.6950 3.9256 18.7244
O 2.5059 5.2452 9.8398
O 2.3849 1.9185 19.9727
O 2.4617 1.8968 17.5649
O 3.7420 4.2653 16.5670
O 4.1611 6.6147 12.9836
O 3.0218 2.6070 10.8132
O 4.4317 6.4977 16.0074
O 4.4551 5.2142 21.2437
O 2.9691 2.2641 8.5104
O 4.0880 2.7900 21.4397
O 3.4849 4.1520 1.4931
O 4.6038 4.6778 14.4225
O 3.1178 1.7277 1.6892
O 3.1412 0.4443 6.9255
O 4.5510 4.3350 12.1197
O 3.4118 0.3273 9.9493
O 3.8309 2.6767 6.3659
O 5.1112 5.0452 5.3680
O 5.1880 5.0235 2.9602
O 5.0670 1.6968 13.0931
O 4.8778 3.0163 4.2084
O 5.3123 5.4437 0.6472
O 4.4229 0.8515 4.9298
O 6.2488 3.7961 21.4812
O 6.3694 5.5972 13.0581
```

## Properties
* DFT total energy: -381.59 eV per cell
* M_tot: 0.00 μB/atom
* energy of formation from the pure elements: -2627 meV/atom



[4]
VASP calculation (GGA-PBE) on a relaxed Bi4B6O15 crystal.

Geometry as extended XYZ:
```
50
Lattice="6.0077 -2.2758 0.0000 6.0077 2.2758 0.0000 -2.6318 0.0000 19.3761" Properties=species:S:1:pos:R:3 pbc="T T T"
Bi 2.0576 1.4224 17.5380
Bi 2.4333 1.3577 13.5630
Bi 6.0102 1.4224 11.5262
Bi 5.6344 1.3577 15.5012
Bi 3.7492 -1.3577 3.8750
Bi 3.3735 -1.4224 7.8499
Bi 6.9503 -1.3577 5.8131
Bi 7.3260 -1.4224 1.8382
B 2.5739 1.3453 10.2273
B 4.5721 0.9409 1.7057
B 4.4317 1.0313 5.9055
B 6.2678 1.0313 3.7825
B 5.4938 1.3453 18.8369
B 6.1274 0.9409 7.9824
B 3.2562 -0.9409 11.3937
B 3.8898 -1.3453 0.5392
B 3.1158 -1.0313 15.5936
B 4.9519 -1.0313 13.4706
B 4.8115 -0.9409 17.6704
B 6.8097 -1.3453 9.1488
O -1.0036 0.4474 18.8299
O 0.2377 0.5317 13.6810
O 2.2950 1.0151 8.7555
O 3.4527 1.0114 2.6738
O 5.3498 1.6142 4.8440
O 4.8955 1.4264 7.2603
O 5.8041 1.4264 2.4278
O 0.3123 -0.4474 9.1419
O 1.5536 -0.5317 3.9930
O 3.4623 0.4649 10.9555
O 3.0284 0.4046 15.5245
O 7.2468 1.0114 7.0143
O 5.0394 0.4046 13.5397
O 4.6055 0.4649 18.1087
O 8.4045 1.0151 0.9326
O 0.9791 -1.0151 18.4435
O 4.7782 -0.4649 1.2675
O 4.3443 -0.4046 5.8365
O 2.1368 -1.0114 12.3619
O 6.3553 -0.4046 3.8516
O 5.9214 -0.4649 8.4206
O 7.8300 0.5317 15.3832
O 9.0713 0.4474 10.2343
O 3.5796 -1.4264 16.9483
O 4.4882 -1.4264 12.1159
O 4.0339 -1.6142 14.5321
O 5.9309 -1.0114 16.7023
O 7.0886 -1.0151 10.6207
O 9.1459 -0.5317 5.6951
O 10.3872 -0.4474 0.5462
```

## Properties
* DFT total energy: -359.18 eV per cell
* M_tot: 0.00 μB/atom
* energy of formation from the pure elements: -2402 meV/atom



[5]
VASP calculation (GGA-PBE) on a relaxed Bi3BO6 crystal.

Geometry as extended XYZ:
```
40
Lattice="12.4298 0.0000 0.0000 0.0000 9.8463 0.0000 0.0000 0.0000 4.9477" Properties=species:S:1:pos:R:3 pbc="T T T"
Bi 0.9481 2.4616 0.0553
Bi 1.7061 5.5495 2.5445
Bi 1.7061 9.2199 2.5445
Bi 4.5088 0.6264 0.0707
Bi 4.5088 4.2968 0.0707
Bi 5.2668 7.3847 2.5292
Bi 7.1630 2.4616 2.4185
Bi 7.9211 5.5495 4.8770
Bi 7.9211 9.2199 4.8770
Bi 10.7237 0.6264 2.4031
Bi 10.7237 4.2968 2.4031
Bi 11.4817 7.3847 4.8924
B 2.7045 7.3847 0.3624
B 3.5104 2.4616 2.8363
B 8.9194 7.3847 2.1114
B 9.7253 2.4616 4.5852
O 0.4411 0.8884 1.4109
O 0.4411 4.0348 1.4109
O 1.2521 7.3847 0.9288
O 2.8181 7.3847 3.8659
O 2.8958 1.2182 3.4517
O 2.8958 3.7049 3.4517
O 3.3191 6.1414 0.9779
O 3.3191 8.6281 0.9779
O 3.3968 2.4616 1.3920
O 4.9628 2.4616 3.4027
O 5.7738 5.8115 3.8848
O 5.7738 8.9579 3.8848
O 6.6560 0.8884 1.0629
O 6.6560 4.0348 1.0629
O 7.4670 7.3847 1.5450
O 9.0330 7.3847 3.5557
O 9.1107 1.2182 3.9698
O 9.1107 3.7049 3.9698
O 9.5341 6.1414 1.4959
O 9.5341 8.6281 1.4959
O 9.6117 2.4616 1.0818
O 11.1777 2.4616 4.0188
O 11.9887 5.8115 3.5367
O 11.9887 8.9579 3.5367
```

## Properties
* DFT total energy: -252.00 eV per cell
* M_tot: 0.00 μB/atom
* energy of formation from the pure elements: -1909 meV/atom



[6]
VASP calculation (GGA-PBE) on a relaxed Bi2B3O9 crystal.

Geometry as extended XYZ:
```
28
Lattice="6.2973 0.0000 0.0000 -3.1487 5.4536 0.0000 0.0000 0.0000 9.2635" Properties=species:S:1:pos:R:3 pbc="T T T"
Bi 0.0000 3.6358 0.0772
Bi 0.0000 3.6358 4.5545
Bi 3.1487 1.8179 4.7090
Bi 3.1487 1.8179 9.1863
B -2.3927 4.2082 6.9476
B 0.7006 1.2774 6.9476
B 1.4566 0.0320 2.3159
B 1.6921 5.4217 6.9476
B 2.4481 4.1762 2.3159
B 5.5414 1.2454 2.3159
O -1.9638 3.4690 5.6945
O -1.9638 3.4690 8.2008
O -2.3803 4.2637 2.3159
O 0.6463 1.2604 2.3159
O 1.4147 0.0705 6.9476
O 1.1264 2.0185 5.6945
O 1.1264 2.0185 8.2008
O 2.3112 0.0338 1.0627
O 2.3112 0.0338 3.5691
O 0.8374 5.4199 5.6945
O 0.8374 5.4199 8.2008
O 2.0223 3.4352 1.0627
O 2.0223 3.4352 3.5691
O 1.7339 5.3832 2.3159
O 2.5023 4.1932 6.9476
O 5.5289 1.1899 6.9476
O 5.1125 1.9847 1.0627
O 5.1125 1.9847 3.5691
```

## Properties
* DFT total energy: -189.91 eV per cell
* M_tot: 0.00 μB/atom
* energy of formation from the pure elements: -2056 meV/atom



[7]
VASP calculation (GGA-PBE) on a relaxed Bi4B2O9 crystal.

Geometry as extended XYZ:
```
60
Lattice="11.2756 0.0000 0.0000 0.0000 6.6577 0.0000 -0.0600 0.0000 11.2157" Properties=species:S:1:pos:R:3 pbc="T T T"
Bi 0.0222 0.5057 1.7846
Bi -0.0078 2.8232 7.3924
Bi 1.7559 3.7447 0.2224
Bi 1.7259 6.2418 5.8302
Bi 3.3681 0.3200 11.1065
Bi 3.3981 3.0088 5.4986
Bi 5.5215 0.1169 3.8952
Bi 5.4915 3.2119 9.5030
Bi 5.7241 3.4458 1.7127
Bi 5.6941 6.5408 7.3205
Bi 7.8175 3.6489 5.7171
Bi 7.8475 6.3377 0.1092
Bi 9.4897 0.4159 5.3854
Bi 9.4597 2.9130 10.9933
Bi 11.2234 3.8345 3.8232
Bi 11.1934 6.1520 9.4311
B 2.7917 1.5738 8.5928
B 2.8217 1.7551 2.9850
B 3.0980 4.9616 2.7432
B 3.0680 5.0250 8.3510
B 8.1477 1.6328 2.8647
B 8.1177 1.6961 8.4725
B 8.3940 4.9026 8.2307
B 8.4240 5.0839 2.6229
O -0.0392 3.9771 9.9939
O -0.0092 6.0094 4.3860
O 1.2604 4.0021 5.6690
O 1.2904 5.9845 0.0611
O 1.8093 4.5152 2.4726
O 1.7793 5.4714 8.0805
O 1.9488 1.5239 9.7141
O 1.9788 1.8050 4.1063
O 2.3682 1.2388 1.7852
O 2.3382 2.0901 7.3930
O 3.4749 4.7250 9.6402
O 3.5049 5.2616 4.0324
O 3.9488 4.9143 7.2671
O 3.9788 5.0722 1.6593
O 4.0751 1.0980 8.7809
O 4.1051 2.2309 3.1730
O 4.7149 1.0559 5.7572
O 4.7449 2.2730 0.1494
O 6.4707 4.3847 11.0663
O 6.5007 5.6018 5.4585
O 7.1106 4.4268 8.0426
O 7.1406 5.5597 2.4348
O 7.2369 1.5855 9.5564
O 7.2669 1.7434 3.9486
O 7.7107 1.3961 7.1833
O 7.7407 1.9327 1.5754
O 8.8774 4.5677 3.8227
O 8.8474 5.4189 9.4305
O 9.2368 4.8527 7.1094
O 9.2668 5.1338 1.5015
O 9.4363 1.1863 3.1352
O 9.4063 2.1425 8.7430
O 9.9252 0.6732 11.1545
O 9.9552 2.6556 5.5467
O 11.2248 0.6483 6.8296
O 11.2548 2.6806 1.2218
```

## Properties
* DFT total energy: -394.26 eV per cell
* energy of formation from the pure elements: -2087 meV/atom



[8]
VASP calculation (GGA-PBE) on a relaxed Bi12BO20 crystal.

Geometry as extended XYZ:
```
33
Lattice="-5.0724 5.0724 5.0724 5.0724 -5.0724 5.0724 5.0724 5.0724 -5.0724" Properties=species:S:1:pos:R:3 pbc="T T T"
Bi 5.2083 -1.8752 3.3059
Bi 3.1972 1.7666 -0.1359
Bi 6.9476 1.7666 0.1359
Bi 1.7666 -0.1359 3.1972
Bi 3.3059 5.2083 -1.8752
Bi -0.1359 3.1972 1.7666
Bi 4.9366 1.8752 3.3059
Bi 3.3059 4.9366 1.8752
Bi 1.7666 0.1359 6.9476
Bi 1.8752 3.3059 4.9366
Bi -1.8752 3.3059 5.2083
Bi 0.1359 6.9476 1.7666
B 0.0000 0.0000 0.0000
O 2.0268 2.0268 -2.0268
O 4.1984 4.1984 -4.1984
O 2.0268 -2.0268 2.0268
O 4.1984 -4.1984 4.1984
O 4.9326 2.5795 -1.3323
O 0.8740 0.8740 0.8740
O 6.4047 -0.1398 2.4929
O 3.7401 0.1398 2.4929
O 2.5795 -1.3323 4.9326
O 2.4929 3.7401 0.1398
O 5.2123 2.5795 1.3323
O -2.0268 2.0268 2.0268
O 3.0456 3.0456 3.0456
O 0.1398 2.4929 3.7401
O 2.4929 6.4047 -0.1398
O 2.5795 1.3323 5.2123
O -1.3323 4.9326 2.5795
O 1.3323 5.2123 2.5795
O -4.1984 4.1984 4.1984
O -0.1398 2.4929 6.4047
```

## Properties
* DFT total energy: -193.86 eV per cell
* M_tot: 0.03 μB/atom
* energy of formation from the pure elements: -1675 meV/atom



[9]
VASP calculation (GGA-PBE) on a relaxed Bi2B8O15 crystal.

Geometry as extended XYZ:
```
50
Lattice="4.3757 0.0000 0.0000 0.0000 22.6558 0.0000 -1.6276 0.0000 6.3415" Properties=species:S:1:pos:R:3 pbc="T T T"
Bi -0.1556 0.0000 2.5394
Bi 1.1243 3.0534 1.0306
Bi 1.6238 14.3813 5.3110
Bi 2.9037 11.3279 3.8022
B -0.3284 7.2227 1.7704
B -1.2690 6.6585 5.8938
B -0.6393 3.1301 3.7148
B -0.5056 5.6680 3.7249
B 0.8052 20.0586 0.0539
B 0.5817 11.2418 1.4829
B 1.2130 14.3848 1.2635
B -0.0391 22.5286 6.2284
B 2.7872 11.2007 0.1131
B 1.5351 3.0569 5.0781
B 2.1664 22.5697 4.8587
B 1.9429 8.7307 6.2876
B 3.2537 16.9959 2.6166
B 3.3874 14.4579 2.6268
B 4.0172 17.9864 0.4478
B 3.0765 18.5506 4.5711
O -0.5017 6.8880 3.0738
O -0.2432 2.1720 2.6678
O -0.3493 4.4800 3.0992
O -0.8143 0.0257 4.9733
O 0.2574 19.1178 0.9299
O -0.7392 19.7286 5.0384
O -0.6955 5.7093 5.1039
O 0.3964 6.4037 0.9170
O -0.8189 14.5101 6.3011
O 0.4437 14.3504 2.3837
O 1.2241 21.2304 0.5662
O 0.1413 2.9528 4.9678
O 1.3510 11.2316 0.3564
O 1.2303 0.8791 0.9128
O 0.9902 11.1421 2.7862
O 1.7579 22.4700 3.5554
O 1.5178 12.2070 5.4288
O 1.3971 22.5595 5.9852
O 2.6068 14.2807 1.3738
O 1.5240 9.9025 5.7754
O 2.3044 3.0225 3.9578
O 3.5670 3.1822 0.0405
O 2.3517 17.7316 5.4245
O 3.4436 17.0372 1.2376
O 3.4874 8.4007 1.3031
O 2.4907 7.7899 5.4116
O 3.5624 11.3536 1.3682
O 3.0974 15.8079 3.2423
O 2.9913 13.4999 3.6737
O 3.2498 18.2159 3.2678
```

## Properties
* DFT total energy: -381.60 eV per cell
* energy of formation from the pure elements: -2627 meV/atom